(1)
Material: Pt2W
Method: DFT, r²SCAN
State: optimized geometry

Cell lengths 2.7727, 3.9644, 4.8063 Å; angles 65.64, 73.24, 90.00 degrees
Sites, in units of the cell vectors:
Pt 0.3368 0.3368 0.3264
Pt 0.6632 0.6632 0.6736
W 0.0000 0.0000 0.0000

Properties
- density (Mg/m³) = 20.9
- VASP energy (eV/atom) = -51.7972

***

(2)
Material: Rb6Ge2O7
Method: DFT, r²SCAN
State: optimized geometry

Cell lengths 9.4398, 6.8418, 11.5595 Å; angles 55.18, 90.00, 90.00 degrees
Sites, in units of the cell vectors:
Rb 0.7853 0.6007 0.2791
Rb 0.7147 0.6007 0.7791
Rb 0.2147 0.3993 0.7209
Rb 0.3525 0.0354 0.0835
Rb 0.8525 0.9646 0.4165
Rb 0.6475 0.9646 0.9165
Rb 0.1475 0.0354 0.5835
Rb 0.4737 0.7923 0.4563
Rb 0.9737 0.2077 0.0437
Rb 0.5263 0.2077 0.5437
Rb 0.0263 0.7923 0.9563
Rb 0.2853 0.3993 0.2209
Ge 0.3616 0.6779 0.8720
Ge 0.1384 0.6779 0.3720
Ge 0.6384 0.3221 0.1280
Ge 0.8616 0.3221 0.6280
O 0.2882 0.4922 0.4354
O 0.0000 0.5000 0.5000
O 0.5000 0.5000 0.0000
O 0.0832 0.7435 0.2086
O 0.7882 0.5078 0.0646
O 0.7118 0.5078 0.5646
O 0.2118 0.4922 0.9354
O 0.3392 0.9330 0.8723
O 0.8392 0.0670 0.6277
O 0.6608 0.0670 0.1277
O 0.1608 0.9330 0.3723
O 0.4168 0.7435 0.7086
O 0.9168 0.2565 0.7914
O 0.5832 0.2565 0.2914

Properties
- density (Mg/m³) = 4.2
- VASP energy (eV/atom) = -12.0526

***

(3)
Material: Mn2Si4O11
Method: DFT, r²SCAN
State: optimized geometry

Cell lengths 7.0921, 7.4774, 8.3246 Å; angles 97.46, 104.03, 110.32 degrees
Sites, in units of the cell vectors:
Mn 0.1349 0.3731 0.6080
Mn 0.6458 0.3746 0.6091
Mn 0.3542 0.6254 0.3909
Mn 0.8651 0.6269 0.3920
Si 0.7722 0.6236 0.9802
Si 0.0583 0.8003 0.7885
Si 0.4868 0.7967 0.7938
Si 0.2191 0.0163 0.3906
Si 0.7809 0.9837 0.6094
Si 0.5132 0.2033 0.2062
Si 0.9417 0.1997 0.2115
Si 0.2278 0.3764 0.0198
O 0.1930 0.4238 0.8362
O 0.6189 0.7443 0.9520
O 0.6795 0.4232 0.8335
O 0.9914 0.7683 0.9561
O 0.3065 0.8567 0.8366
O 0.6318 0.9756 0.7303
O 0.3857 0.6061 0.6278
O 0.3462 0.2103 0.5493
O 0.8446 0.1969 0.5626
O 0.0013 0.9707 0.7117
O 0.9197 0.5990 0.6313
O 0.0803 0.4010 0.3687
O 0.9987 0.0293 0.2883
O 0.1554 0.8031 0.4374
O 0.6538 0.7897 0.4507
O 0.6143 0.3939 0.3722
O 0.3682 0.0244 0.2697
O 0.6935 0.1433 0.1634
O 0.0086 0.2317 0.0439
O 0.3205 0.5768 0.1665
O 0.3811 0.2557 0.0480
O 0.8070 0.5762 0.1638

Properties
- density (Mg/m³) = 3.4
- VASP energy (eV/atom) = -10.3461

***

(4)
Material: NiP2H8O10
Method: DFT, r²SCAN
State: optimized geometry

Cell lengths 9.8055, 5.2031, 8.5499 Å; angles 55.75, 90.00, 90.00 degrees
Sites, in units of the cell vectors:
Ni 0.5000 0.0000 0.5000
Ni 0.0000 0.0000 0.0000
P 0.7161 0.0942 0.1620
P 0.2161 0.9058 0.3380
P 0.2839 0.9058 0.8380
P 0.7839 0.0942 0.6620
H 0.5747 0.4107 0.6611
H 0.0747 0.5893 0.8389
H 0.4253 0.5893 0.3389
H 0.9253 0.4107 0.1611
H 0.4487 0.4246 0.7666
H 0.9487 0.5754 0.7334
H 0.5513 0.5754 0.2334
H 0.0513 0.4246 0.2666
H 0.6088 0.4577 0.8969
H 0.1088 0.5423 0.6031
H 0.3912 0.5423 0.1031
H 0.8912 0.4577 0.3969
H 0.7239 0.8733 0.0109
H 0.2239 0.1267 0.4891
H 0.2761 0.1267 0.9891
H 0.7761 0.8733 0.5109
O 0.6679 0.9851 0.3581
O 0.1679 0.0149 0.1419
O 0.3321 0.0149 0.6419
O 0.8321 0.9851 0.8581
O 0.8694 0.1322 0.1375
O 0.3694 0.8678 0.3625
O 0.1306 0.8678 0.8625
O 0.6306 0.1322 0.6375
O 0.6425 0.4081 0.0216
O 0.1425 0.5919 0.4784
O 0.3575 0.5919 0.9784
O 0.8575 0.4081 0.5216
O 0.6687 0.8513 0.1188
O 0.1687 0.1487 0.3812
O 0.3313 0.1487 0.8812
O 0.8313 0.8513 0.6188
O 0.5345 0.5367 0.7048
O 0.0345 0.4633 0.7952
O 0.4655 0.4633 0.2952
O 0.9655 0.5367 0.2048

Properties
- density (Mg/m³) = 2.7
- VASP energy (eV/atom) = -7.1329

***

(5)
Material: MgZrO3
Method: DFT, r²SCAN
State: optimized geometry

Cell lengths 5.6221, 5.6221, 5.6221 Å; angles 56.69, 56.69, 56.69 degrees
Sites, in units of the cell vectors:
Mg 0.6452 0.6452 0.6452
Mg 0.3548 0.3548 0.3548
Zr 0.8587 0.8587 0.8587
Zr 0.1413 0.1413 0.1413
O 0.5502 0.2456 0.9513
O 0.0487 0.4498 0.7544
O 0.2456 0.9513 0.5502
O 0.7544 0.0487 0.4498
O 0.9513 0.5502 0.2456
O 0.4498 0.7544 0.0487

Properties
- density (Mg/m³) = 4.7
- VASP energy (eV/atom) = -12.3621

***

(6)
Material: TiIN
Method: DFT, r²SCAN
State: optimized geometry

Cell lengths 3.5305, 3.9516, 9.3059 Å; angles 90.00, 90.00, 90.00 degrees
Sites, in units of the cell vectors:
Ti 0.2500 0.7500 0.9243
Ti 0.7500 0.2500 0.0757
I 0.7500 0.7500 0.6882
I 0.2500 0.2500 0.3118
N 0.2500 0.2500 0.9665
N 0.7500 0.7500 0.0335

Properties
- density (Mg/m³) = 4.8
- VASP energy (eV/atom) = -16.8953

***

(7)
Material: Tb3Ga5O12
Method: DFT, r²SCAN
State: optimized geometry

Cell lengths 10.6680, 10.6680, 10.6680 Å; angles 109.47, 109.47, 109.47 degrees
Sites, in units of the cell vectors:
Tb 0.8750 0.7500 0.6250
Tb 0.8750 0.6250 0.2500
Tb 0.6250 0.8750 0.7500
Tb 0.2500 0.8750 0.6250
Tb 0.7500 0.6250 0.8750
Tb 0.6250 0.2500 0.8750
Tb 0.1250 0.2500 0.3750
Tb 0.1250 0.3750 0.7500
Tb 0.3750 0.1250 0.2500
Tb 0.7500 0.1250 0.3750
Tb 0.2500 0.3750 0.1250
Tb 0.3750 0.7500 0.1250
Ga 0.1250 0.7500 0.8750
Ga 0.8750 0.2500 0.1250
Ga 0.7500 0.3750 0.6250
Ga 0.1250 0.8750 0.2500
Ga 0.2500 0.1250 0.8750
Ga 0.3750 0.6250 0.7500
Ga 0.3750 0.2500 0.6250
Ga 0.8750 0.1250 0.7500
Ga 0.6250 0.3750 0.2500
Ga 0.7500 0.8750 0.1250
Ga 0.2500 0.6250 0.3750
Ga 0.6250 0.7500 0.3750
Ga 0.5000 0.0000 0.5000
Ga 0.0000 0.5000 0.0000
Ga 0.5000 0.5000 0.5000
Ga 0.0000 0.0000 0.5000
Ga 0.0000 0.0000 0.0000
Ga 0.0000 0.5000 0.5000
Ga 0.5000 0.5000 0.0000
Ga 0.5000 0.0000 0.0000
O 0.5832 0.9057 0.3780
O 0.3780 0.5832 0.9057
O 0.2949 0.3225 0.9168
O 0.4723 0.5943 0.1775
O 0.3225 0.9057 0.0277
O 0.1220 0.0277 0.2051
O 0.3780 0.2949 0.4723
O 0.9057 0.3780 0.5832
O 0.1775 0.2051 0.5832
O 0.4723 0.3780 0.2949
O 0.9057 0.0277 0.3225
O 0.5943 0.9168 0.1220
O 0.9168 0.1220 0.5943
O 0.2949 0.4723 0.3780
O 0.5832 0.1775 0.2051
O 0.2051 0.5832 0.1775
O 0.0277 0.3225 0.9057
O 0.9168 0.2949 0.3225
O 0.0277 0.2051 0.1220
O 0.8225 0.7949 0.4168
O 0.1775 0.4723 0.5943
O 0.5943 0.1775 0.4723
O 0.2051 0.1220 0.0277
O 0.1220 0.5943 0.9168
O 0.4168 0.0943 0.6220
O 0.6220 0.4168 0.0943
O 0.7051 0.6775 0.0832
O 0.5277 0.4057 0.8225
O 0.6775 0.0943 0.9723
O 0.8780 0.9723 0.7949
O 0.6220 0.7051 0.5277
O 0.0943 0.6220 0.4168
O 0.8780 0.4057 0.0832
O 0.7949 0.8780 0.9723
O 0.4057 0.8225 0.5277
O 0.6775 0.0832 0.7051
O 0.8225 0.5277 0.4057
O 0.9723 0.7949 0.8780
O 0.0832 0.7051 0.6775
O 0.9723 0.6775 0.0943
O 0.7949 0.4168 0.8225
O 0.4168 0.8225 0.7949
O 0.7051 0.5277 0.6220
O 0.0832 0.8780 0.4057
O 0.4057 0.0832 0.8780
O 0.0943 0.9723 0.6775
O 0.5277 0.6220 0.7051
O 0.3225 0.9168 0.2949

Properties
- density (Mg/m³) = 7.2
- VASP energy (eV/atom) = -13.9672

***

(8)
Material: Cu5Se4Cl2O12
Method: DFT, r²SCAN
State: optimized geometry

Cell lengths 8.2970, 7.5345, 10.9083 Å; angles 89.41, 90.00, 90.00 degrees
Sites, in units of the cell vectors:
Cu 0.6315 0.8398 0.6316
Cu 0.1315 0.6602 0.3684
Cu 0.3685 0.1602 0.3684
Cu 0.8685 0.3398 0.6316
Cu 0.5000 0.5000 0.5000
Cu 0.0000 0.0000 0.5000
Cu 0.5048 0.9229 0.1408
Cu 0.0048 0.5771 0.8592
Cu 0.4952 0.0771 0.8592
Cu 0.9952 0.4229 0.1408
Se 0.9046 0.9972 0.8213
Se 0.4046 0.5028 0.1787
Se 0.0954 0.0028 0.1787
Se 0.5954 0.4972 0.8213
Se 0.6883 0.8321 0.3768
Se 0.1883 0.6679 0.6232
Se 0.3117 0.1679 0.6232
Se 0.8117 0.3321 0.3768
Cl 0.3815 0.8415 0.9630
Cl 0.8815 0.6585 0.0370
Cl 0.6185 0.1585 0.0370
Cl 0.1185 0.3415 0.9630
O 0.0140 0.8124 0.7868
O 0.5140 0.6876 0.2132
O 0.9860 0.1876 0.2132
O 0.4860 0.3124 0.7868
O 0.7118 0.9362 0.7807
O 0.2118 0.5638 0.2193
O 0.2882 0.0638 0.2193
O 0.7882 0.4362 0.7807
O 0.5322 0.6215 0.6983
O 0.0322 0.8785 0.3017
O 0.4678 0.3785 0.3017
O 0.9678 0.1215 0.6983
O 0.5361 0.7589 0.4773
O 0.0361 0.7411 0.5227
O 0.4639 0.2411 0.5227
O 0.9639 0.2589 0.4773
O 0.7664 0.9590 0.4980
O 0.2664 0.5410 0.5020
O 0.2336 0.0410 0.5020
O 0.7336 0.4590 0.4980
O 0.5944 0.9989 0.2988
O 0.0944 0.5011 0.7012
O 0.4056 0.0011 0.7012
O 0.9056 0.4989 0.2988

Properties
- density (Mg/m³) = 4.4
- VASP energy (eV/atom) = -9.2881